No. 1
A plane-wave DFT calculation with PBE was carried out for a relaxed structure of Na3FeN2.

a b c (Å): 9.4240 10.8819 10.8819
angles (deg): 90.00 125.26 54.74
Closest atoms and distances in Å follow each position.
Fractional coordinates of all 48 atoms:
Na (0.6827, 0.2983, 0.4355)  3 N 2.30-2.52
Na (0.6827, 0.7983, 0.2473)  3 N 2.30-2.52
Na (0.2794, 0.9544, 0.4811)  3 N 2.30-2.52
Na (0.7206, 0.0456, 0.5189)  3 N 2.30-2.52
Na (0.7206, 0.5456, 0.2017)  3 N 2.30-2.52
Na (0.7206, 0.2338, 0.7017)  3 N 2.30-2.52
Na (0.1882, 0.7473, 0.7338)  3 N 2.30-2.52
Na (0.7206, 0.7338, 0.0189)  3 N 2.30-2.52
Na (0.1882, 0.2473, 0.4544)  3 N 2.30-2.52
Na (0.1882, 0.0645, 0.9544)  3 N 2.30-2.52
Na (0.3173, 0.4811, 0.0645)  3 N 2.30-2.52
Na (0.8118, 0.2527, 0.2662)  3 N 2.30-2.52
Na (0.3173, 0.7017, 0.5645)  3 N 2.30-2.52
Na (0.2794, 0.7662, 0.2983)  3 N 2.30-2.52
Na (0.6827, 0.0189, 0.7473)  3 N 2.30-2.52
Na (0.2794, 0.4544, 0.7983)  3 N 2.30-2.52
Na (0.2794, 0.2662, 0.9811)  3 N 2.30-2.52
Na (0.8118, 0.9355, 0.0456)  3 N 2.30-2.52
Na (0.3173, 0.9811, 0.2527)  3 N 2.30-2.52
Na (0.8118, 0.4355, 0.7662)  3 N 2.30-2.52
Na (0.6827, 0.5189, 0.9355)  3 N 2.30-2.52
Na (0.8118, 0.7527, 0.5456)  3 N 2.30-2.52
Na (0.3173, 0.2017, 0.7527)  3 N 2.30-2.52
Na (0.1882, 0.5645, 0.2338)  3 N 2.30-2.52
N (0.3590, 0.8205, 0.9295)  2 Fe 2.11, 2 Na 2.30
N (0.6410, 0.1795, 0.0705)  2 Fe 2.11, 2 Na 2.30
N (0.0000, 0.0000, 0.0000)  2 Fe 1.99
N (0.0000, 0.7500, 0.8205)  2 Fe 2.11, 2 Na 2.30
N (0.6410, 0.6795, 0.5705)  2 Fe 2.11, 2 Na 2.30
N (0.0000, 0.5000, 0.0000)  2 Fe 1.99
N (0.5000, 0.5705, 0.2500)  2 Fe 2.11, 2 Na 2.30
N (0.0000, 0.7500, 0.3205)  2 Fe 2.11, 2 Na 2.30
N (0.5000, 0.4295, 0.7500)  2 Fe 2.11, 2 Na 2.30
N (0.3590, 0.3205, 0.4295)  2 Fe 2.11, 2 Na 2.30
N (0.0000, 0.2500, 0.6795)  2 Fe 2.11, 2 Na 2.30
N (0.0000, 0.0000, 0.5000)  2 Fe 1.99
N (0.5000, 0.0705, 0.2500)  2 Fe 2.11, 2 Na 2.30
N (0.5000, 0.9295, 0.7500)  2 Fe 2.11, 2 Na 2.30
N (0.0000, 0.5000, 0.5000)  2 Fe 1.99
N (0.0000, 0.2500, 0.1795)  2 Fe 2.11, 2 Na 2.30
Fe (0.2106, 0.2894, 0.2106)  4 N 1.99-2.11
Fe (0.7894, 0.2106, 0.0000)  4 N 1.99-2.11
Fe (0.2106, 0.5000, 0.5000)  4 N 1.99-2.11
Fe (0.7894, 0.0000, 0.2894)  4 N 1.99-2.11
Fe (0.2106, 0.0000, 0.7106)  4 N 1.99-2.11
Fe (0.7894, 0.5000, 0.5000)  4 N 1.99-2.11
Fe (0.2106, 0.7894, 0.0000)  4 N 1.99-2.11
Fe (0.7894, 0.7106, 0.7894)  4 N 1.99-2.11

Computed properties:
ΔE_f = 0.172 eV per atom
V = 13.4 Å³/atom
Corrected total energy (MP2020 scheme) = -4.68 eV/atom
ρ = 3.15 g/cm³

***

No. 2
A plane-wave DFT calculation with PBE was carried out for a relaxed structure of Nd2Fe17N2.

a b c (Å): 6.5122 6.5122 6.5443
angles (deg): 83.80 83.80 83.76
Closest atoms and distances in Å follow each position.
Fractional coordinates of all 21 atoms:
Fe (0.8550, 0.3433, 0.3385)  1 N 1.93
Fe (0.0000, 0.2837, 0.7168)  1 N 1.89
Fe (0.1450, 0.6567, 0.6615)  1 N 1.93
Fe (0.0000, 0.0000, 0.5000)  10 Fe 2.45-2.69
Fe (0.6567, 0.1450, 0.6615)  1 N 1.93
Fe (0.2837, 0.0000, 0.7168)  1 N 1.89
Fe (0.2824, 0.7176, 0.0000)  10 Fe 2.44-2.72
Fe (0.0000, 0.5000, 0.0000)  10 Fe 2.44-2.66
Fe (0.3438, 0.3438, 0.8576)  9 Fe 2.49-2.67
Fe (0.5000, 0.0000, 0.0000)  10 Fe 2.44-2.66
Fe (0.7163, 0.0000, 0.2832)  1 N 1.89
Fe (0.9045, 0.9045, 0.9065)  1 Fe 2.36
Fe (0.0955, 0.0955, 0.0935)  1 Fe 2.36
Fe (0.0000, 0.7163, 0.2832)  1 N 1.89
Fe (0.6562, 0.6562, 0.1424)  9 Fe 2.49-2.67
Fe (0.3433, 0.8550, 0.3385)  1 N 1.93
Fe (0.7176, 0.2824, 0.0000)  10 Fe 2.44-2.72
N (0.5000, 0.0000, 0.5000)  4 Fe 1.89-1.93
N (0.0000, 0.5000, 0.5000)  4 Fe 1.89-1.93
Nd (0.3436, 0.3436, 0.3414)  2 N 2.52
Nd (0.6564, 0.6564, 0.6586)  2 N 2.52

Computed properties:
ΔE_f = -0.158 eV per atom
V = 13.0 Å³/atom
Corrected total energy (MP2020 scheme) = -8.26 eV/atom
ρ = 7.70 g/cm³

***

No. 3
A plane-wave DFT calculation with PBE was carried out for a relaxed structure of Fe2NiN2.

a b c (Å): 2.7460 2.8004 11.8263
angles (deg): 90.00 90.00 90.00
Closest atoms and distances in Å follow each position.
Fractional coordinates of all 10 atoms:
N (0.7500, 0.7645, 0.5958)  1 Ni 1.83, 5 Fe 1.96-2.00
N (0.7500, 0.7645, 0.9042)  1 Ni 1.83, 5 Fe 1.96-2.00
N (0.2500, 0.2355, 0.0958)  1 Ni 1.83, 5 Fe 1.96-2.00
N (0.2500, 0.2355, 0.4042)  1 Ni 1.83, 5 Fe 1.96-2.00
Ni (0.7500, 0.7952, 0.7500)  2 N 1.83
Ni (0.2500, 0.2048, 0.2500)  2 N 1.83
Fe (0.2500, 0.2724, 0.9301)  5 N 1.96-2.00
Fe (0.2500, 0.2724, 0.5699)  5 N 1.96-2.00
Fe (0.7500, 0.7276, 0.4301)  5 N 1.96-2.00
Fe (0.7500, 0.7276, 0.0699)  5 N 1.96-2.00

Computed properties:
ΔE_f = -0.002 eV per atom
V = 9.1 Å³/atom
Corrected total energy (MP2020 scheme) = -7.88 eV/atom
ρ = 7.25 g/cm³

***

No. 4
A plane-wave DFT calculation with PBE was carried out for a relaxed structure of Fe2NiN2.

a b c (Å): 3.2131 3.2165 6.9588
angles (deg): 90.00 117.52 120.04
Closest atoms and distances in Å follow each position.
Fractional coordinates of all 5 atoms:
N (0.5906, 0.7953, 0.1923)  1 Ni 1.81, 4 Fe 1.88-1.97
N (0.4094, 0.2047, 0.8077)  1 Ni 1.81, 4 Fe 1.88-1.97
Fe (0.8568, 0.4284, 0.1423)  4 N 1.88-1.97
Fe (0.1432, 0.5716, 0.8577)  4 N 1.88-1.97
Ni (0.0000, 0.0000, 0.5000)  2 N 1.81

Computed properties:
ΔE_f = -0.083 eV per atom
V = 10.5 Å³/atom
Corrected total energy (MP2020 scheme) = -7.96 eV/atom
ρ = 6.26 g/cm³